Density functional theory data (r2SCAN) for crystalline Ba2FeGe2O7 at its relaxed geometry.

Lattice parameters (Å, degrees): 8.5262 8.5262 11.0151 90.00 90.00 90.00
With the nearest neighbours (Å) after each atom.
Atoms (fractional coordinates):
Fe 0.0000 0.0000 0.2500  4 O 1.98
Ba 0.1663 0.6663 0.5038  6 O 2.70-2.83
O 0.8653 0.6345 0.1082  1 Ge 1.73
O 0.9206 0.8131 0.3375  1 Ge 1.76
O 0.1347 0.3655 0.1082  1 Ge 1.73
Ba 0.1663 0.6663 0.0038  6 O 2.70-2.83
Fe 0.5000 0.5000 0.7500  4 O 1.98
O 0.9206 0.8131 0.8375  1 Ge 1.76
O 0.3131 0.4209 0.3376  1 Ge 1.76
O 0.1869 0.9206 0.6625  1 Ge 1.76
Ba 0.6663 0.8337 0.9962  6 O 2.70-2.83
Ge 0.1384 0.3617 0.7652  4 O 1.73-1.80
O 0.8653 0.6345 0.6081  1 Ge 1.73
O 0.5000 0.0000 0.1723  2 Ge 1.80
Ge 0.8616 0.6383 0.2652  4 O 1.73-1.80
O 0.0000 0.5000 0.8277  2 Ge 1.80
Ba 0.6663 0.8337 0.4962  6 O 2.70-2.83
Ge 0.6383 0.1384 0.2348  4 O 1.73-1.80
O 0.5791 0.3131 0.1624  1 Ge 1.76
O 0.4209 0.6869 0.6624  1 Ge 1.76
O 0.1347 0.3655 0.6081  1 Ge 1.73
O 0.0794 0.1869 0.3375  1 Ge 1.76
Ge 0.1384 0.3617 0.2652  4 O 1.73-1.80
O 0.8131 0.0794 0.6625  1 Ge 1.76
Ba 0.3337 0.1663 0.4962  6 O 2.70-2.83
Fe 0.0000 0.0000 0.7500  4 O 1.98
O 0.3655 0.8653 0.3918  1 Ge 1.73
O 0.3655 0.8653 0.8919  1 Ge 1.73
O 0.6345 0.1347 0.3918  1 Ge 1.73
Ge 0.6383 0.1384 0.7348  4 O 1.73-1.80
O 0.6869 0.5791 0.3376  1 Ge 1.76
O 0.6345 0.1347 0.8919  1 Ge 1.73
Ge 0.3617 0.8616 0.2348  4 O 1.73-1.80
O 0.6869 0.5791 0.8376  1 Ge 1.76
O 0.8131 0.0794 0.1625  1 Ge 1.76
Ge 0.8616 0.6383 0.7652  4 O 1.73-1.80
O 0.5791 0.3131 0.6624  1 Ge 1.76
O 0.1869 0.9206 0.1625  1 Ge 1.76
O 0.0794 0.1869 0.8375  1 Ge 1.76
Fe 0.5000 0.5000 0.2500  4 O 1.98
Ba 0.8337 0.3337 0.5038  6 O 2.70-2.83
Ba 0.8337 0.3337 0.0038  6 O 2.70-2.83
Ge 0.3617 0.8616 0.7348  4 O 1.73-1.80
O 0.0000 0.5000 0.3277  2 Ge 1.80
O 0.4209 0.6869 0.1624  1 Ge 1.76
O 0.3131 0.4209 0.8376  1 Ge 1.76
O 0.5000 0.0000 0.6723  2 Ge 1.80
Ba 0.3337 0.1663 0.9962  6 O 2.70-2.83

- calculated formation energy (eV/atom) = -2.29


Density functional theory data (r2SCAN) for crystalline Ba6La2Fe4O15 at its relaxed geometry.

Lattice parameters (Å, degrees): 11.8848 11.8848 7.1557 89.80 89.80 119.36
With the nearest neighbours (Å) after each atom.
Atoms (fractional coordinates):
O 0.1001 0.1930 0.7461  1 Fe 1.85
O 0.1763 0.5867 0.3283  1 Fe 1.94
La 0.4790 0.5226 0.6679  5 O 2.39-2.54
O 0.5984 0.6676 0.9734  1 Fe 1.89
Ba 0.3344 0.6664 0.0182  4 O 2.75-3.03
O 0.8099 0.8940 0.7410  1 Fe 1.84
O 0.6676 0.5984 0.4734  1 Fe 1.89
O 0.6006 0.9306 0.9478  1 Fe 1.85
O 0.0709 0.3909 0.9954  1 Fe 1.88
Ba 0.9972 0.0040 0.5023  6 O 2.59-2.84
Ba 0.6664 0.3344 0.5182  4 O 2.75-3.03
O 0.9306 0.6006 0.4478  1 Fe 1.85
Fe 0.3352 0.6662 0.4703  3 O 1.89-1.96
O 0.2613 0.7584 0.6674  1 Fe 1.93
O 0.6787 0.0699 0.4952  1 Fe 1.89
Ba 0.8292 0.6567 0.8288  8 O 2.76-3.06
La 0.5226 0.4790 0.1679  5 O 2.39-2.54
Ba 0.1712 0.8249 0.3422  7 O 2.83-3.10
Ba 0.0040 0.9972 0.0023  6 O 2.59-2.84
O 0.8940 0.8099 0.2410  1 Fe 1.84
Fe 0.8179 0.6435 0.3309  4 O 1.84-1.91
Fe 0.6662 0.3352 0.9703  3 O 1.89-1.96
Ba 0.1767 0.3489 0.3401  7 O 2.77-3.03
O 0.7584 0.2613 0.1674  1 Fe 1.93
Fe 0.1758 0.8188 0.8360  4 O 1.85-1.93
O 0.4941 0.2599 0.1683  1 Fe 1.92
O 0.4147 0.8258 0.3402  1 Fe 1.89
Fe 0.1813 0.3563 0.8481  4 O 1.85-1.92
La 0.4790 0.9571 0.6707  6 O 2.42-2.67
O 0.0699 0.6787 0.9952  1 Fe 1.89
O 0.3210 0.9420 0.9572  1 Fe 1.85
O 0.4173 0.5817 0.3355  1 Fe 1.96
O 0.0790 0.8812 0.7178  1 Fe 1.85
O 0.9420 0.3210 0.4572  1 Fe 1.85
O 0.8812 0.0790 0.2178  1 Fe 1.85
Fe 0.3563 0.1813 0.3481  4 O 1.85-1.92
O 0.7490 0.5084 0.1511  1 Fe 1.91
O 0.2599 0.4941 0.6683  1 Fe 1.92
O 0.3909 0.0709 0.4954  1 Fe 1.88
Ba 0.6567 0.8292 0.3288  8 O 2.76-3.06
Ba 0.0479 0.5213 0.6728  7 O 2.59-2.86
Ba 0.5213 0.0479 0.1728  7 O 2.59-2.86
O 0.5084 0.7490 0.6511  1 Fe 1.91
O 0.3956 0.3316 0.4826  1 Fe 1.88
O 0.5817 0.4173 0.8355  1 Fe 1.96
Ba 0.8249 0.1712 0.8422  7 O 2.83-3.10
O 0.5867 0.1763 0.8283  1 Fe 1.94
O 0.3316 0.3956 0.9826  1 Fe 1.88
O 0.8258 0.4147 0.8402  1 Fe 1.89
O 0.1930 0.1001 0.2461  1 Fe 1.85
Fe 0.6435 0.8179 0.8309  4 O 1.84-1.91
Fe 0.8188 0.1758 0.3360  4 O 1.85-1.93
La 0.9571 0.4790 0.1707  6 O 2.42-2.67
Ba 0.3489 0.1767 0.8401  7 O 2.77-3.03

- calculated formation energy (eV/atom) = -2.65